Record 1
{"formula": "Dy3GaCoS7", "functional": "PBE", "state": "optimized geometry", "lattice_angstrom": [[9.541, 0.000, 0.000], [-4.770, 8.263, 0.000], [0.000, 0.000, 6.134]], "species": ["Dy", "Dy", "Dy", "Dy", "Dy", "Dy", "Ga", "Ga", "Co", "Co", "S", "S", "S", "S", "S", "S", "S", "S", "S", "S", "S", "S", "S", "S"], "frac_coords": [[0.154, 0.373, 0.000], [0.219, 0.846, 0.000], [0.373, 0.219, 0.500], [0.627, 0.781, 0.000], [0.781, 0.154, 0.500], [0.846, 0.627, 0.500], [0.333, 0.667, 0.572], [0.667, 0.333, 0.072], [0.000, 0.000, 0.166], [0.000, 0.000, 0.666], [0.086, 0.567, 0.729], [0.096, 0.224, 0.410], [0.128, 0.904, 0.410], [0.224, 0.128, 0.910], [0.333, 0.667, 0.205], [0.433, 0.519, 0.729], [0.481, 0.914, 0.729], [0.519, 0.086, 0.229], [0.567, 0.481, 0.229], [0.667, 0.333, 0.705], [0.776, 0.872, 0.410], [0.872, 0.096, 0.910], [0.904, 0.776, 0.910], [0.914, 0.433, 0.229]], "total_energy_ev_per_atom": -5.87, "sg": "No. 173", "formation_energy_ev_per_fu": -21.06, "magnetic_moment_mub_per_atom": 0.083}



Record 2
{"formula": "Dy2CoGe2", "functional": "PBE", "state": "optimized geometry", "lattice_angstrom": [[5.220, -2.114, 0.000], [5.220, 2.114, 0.000], [-4.730, 0.000, 8.961]], "species": ["Dy", "Dy", "Dy", "Dy", "Co", "Co", "Ge", "Ge", "Ge", "Ge"], "frac_coords": [[0.005, 0.005, 0.333], [0.185, 0.185, 0.110], [0.815, 0.815, 0.890], [0.995, 0.995, 0.667], [0.272, 0.272, 0.644], [0.728, 0.728, 0.356], [0.344, 0.344, 0.434], [0.487, 0.487, 0.126], [0.513, 0.513, 0.874], [0.656, 0.656, 0.566]], "total_energy_ev_per_atom": -5.86, "sg": "No. 12", "formation_energy_ev_per_fu": -3.73, "magnetic_moment_mub_per_atom": 0.013}



Record 3
{"formula": "Dy2CoGe6", "functional": "PBE", "state": "optimized geometry", "lattice_angstrom": [[4.066, 0.000, 0.000], [0.000, 2.001, 10.702], [0.000, -2.001, 10.702]], "species": ["Dy", "Dy", "Co", "Ge", "Ge", "Ge", "Ge", "Ge", "Ge"], "frac_coords": [[0.000, 0.000, 0.000], [0.000, 0.336, 0.336], [0.500, 0.559, 0.559], [0.000, 0.613, 0.613], [0.000, 0.731, 0.731], [0.500, 0.114, 0.114], [0.500, 0.232, 0.232], [0.500, 0.452, 0.452], [0.500, 0.877, 0.877]], "total_energy_ev_per_atom": -5.37, "sg": "No. 38", "formation_energy_ev_per_fu": -4.27, "magnetic_moment_mub_per_atom": 0.000}



Record 4
{"formula": "DyCo6Ge6", "functional": "PBE", "state": "optimized geometry", "lattice_angstrom": [[5.088, 0.000, 0.000], [-2.544, 4.407, 0.000], [0.000, 0.000, 7.877]], "species": ["Dy", "Co", "Co", "Co", "Co", "Co", "Co", "Ge", "Ge", "Ge", "Ge", "Ge", "Ge"], "frac_coords": [[0.000, 0.000, 0.000], [0.000, 0.500, 0.251], [0.000, 0.500, 0.749], [0.500, 0.000, 0.251], [0.500, 0.000, 0.749], [0.500, 0.500, 0.251], [0.500, 0.500, 0.749], [0.000, 0.000, 0.345], [0.000, 0.000, 0.655], [0.333, 0.667, 0.000], [0.333, 0.667, 0.500], [0.667, 0.333, 0.000], [0.667, 0.333, 0.500]], "total_energy_ev_per_atom": -6.12, "sg": "No. 191", "formation_energy_ev_per_fu": -4.51, "magnetic_moment_mub_per_atom": 0.003}



Record 5
{"formula": "Dy2CoGe4", "functional": "PBE", "state": "optimized geometry", "lattice_angstrom": [[4.136, 0.000, 0.000], [0.000, 4.141, 0.000], [0.000, 0.000, 15.822]], "species": ["Dy", "Dy", "Dy", "Dy", "Co", "Co", "Ge", "Ge", "Ge", "Ge", "Ge", "Ge", "Ge", "Ge"], "frac_coords": [[0.000, 0.000, 0.000], [0.000, 0.500, 0.500], [0.500, 0.000, 0.207], [0.500, 0.500, 0.707], [0.000, 0.000, 0.796], [0.000, 0.500, 0.296], [0.000, 0.000, 0.363], [0.000, 0.000, 0.651], [0.000, 0.500, 0.151], [0.000, 0.500, 0.863], [0.500, 0.000, 0.548], [0.500, 0.000, 0.861], [0.500, 0.500, 0.048], [0.500, 0.500, 0.361]], "total_energy_ev_per_atom": -5.62, "sg": "No. 38", "formation_energy_ev_per_fu": -4.53}



Record 6
{"formula": "DyCoGe", "functional": "PBE", "state": "optimized geometry", "lattice_angstrom": [[6.967, 0.000, 0.000], [0.000, 4.264, 0.000], [0.000, 0.000, 7.031]], "species": ["Dy", "Dy", "Dy", "Dy", "Co", "Co", "Co", "Co", "Ge", "Ge", "Ge", "Ge"], "frac_coords": [[0.018, 0.250, 0.193], [0.482, 0.750, 0.693], [0.518, 0.250, 0.307], [0.982, 0.750, 0.807], [0.147, 0.750, 0.438], [0.353, 0.250, 0.938], [0.647, 0.750, 0.062], [0.853, 0.250, 0.562], [0.200, 0.250, 0.608], [0.300, 0.750, 0.108], [0.700, 0.250, 0.892], [0.800, 0.750, 0.392]], "total_energy_ev_per_atom": -6.11, "sg": "No. 62", "formation_energy_ev_per_fu": -1.98, "magnetic_moment_mub_per_atom": 0.001}



Record 7
{"formula": "Dy7InCo4Ge12", "functional": "PBE", "state": "optimized geometry", "lattice_angstrom": [[10.412, 0.000, 0.000], [0.000, 10.412, 0.000], [0.000, 0.000, 4.202]], "species": ["Dy", "Dy", "Dy", "Dy", "Dy", "Dy", "Dy", "In", "Co", "Co", "Co", "Co", "Ge", "Ge", "Ge", "Ge", "Ge", "Ge", "Ge", "Ge", "Ge", "Ge", "Ge", "Ge"], "frac_coords": [[0.000, 0.000, 0.000], [0.000, 0.500, 0.500], [0.323, 0.674, 0.500], [0.326, 0.323, 0.500], [0.500, 0.000, 0.500], [0.674, 0.677, 0.500], [0.677, 0.326, 0.500], [0.500, 0.500, 0.000], [0.118, 0.279, 0.000], [0.279, 0.882, 0.000], [0.721, 0.118, 0.000], [0.882, 0.721, 0.000], [0.065, 0.195, 0.500], [0.113, 0.714, 0.000], [0.195, 0.935, 0.500], [0.214, 0.487, 0.000], [0.286, 0.113, 0.000], [0.487, 0.786, 0.000], [0.513, 0.214, 0.000], [0.714, 0.887, 0.000], [0.786, 0.513, 0.000], [0.805, 0.065, 0.500], [0.887, 0.286, 0.000], [0.935, 0.805, 0.500]], "total_energy_ev_per_atom": -5.63, "sg": "No. 83", "formation_energy_ev_per_fu": -16.30, "magnetic_moment_mub_per_atom": 0.000}



Record 8
{"formula": "Dy2Co2I", "functional": "PBE", "state": "optimized geometry", "lattice_angstrom": [[3.940, 0.000, 0.000], [-1.970, 3.412, 0.000], [0.000, 0.000, 16.907]], "species": ["Dy", "Dy", "Dy", "Dy", "Co", "Co", "Co", "Co", "I", "I"], "frac_coords": [[0.000, 0.000, 0.104], [0.000, 0.000, 0.396], [0.000, 0.000, 0.604], [0.000, 0.000, 0.896], [0.333, 0.667, 0.002], [0.333, 0.667, 0.498], [0.667, 0.333, 0.502], [0.667, 0.333, 0.998], [0.333, 0.667, 0.750], [0.667, 0.333, 0.250]], "total_energy_ev_per_atom": -5.59, "sg": "No. 194", "formation_energy_ev_per_fu": -3.38}



Record 9
{"formula": "Dy6InCo2", "functional": "PBE", "state": "optimized geometry", "lattice_angstrom": [[-4.702, 4.827, 4.994], [4.702, -4.827, 4.994], [4.702, 4.827, -4.994]], "species": ["Dy", "Dy", "Dy", "Dy", "Dy", "Dy", "Dy", "Dy", "Dy", "Dy", "Dy", "Dy", "In", "In", "Co", "Co", "Co", "Co"], "frac_coords": [[0.026, 0.234, 0.792], [0.185, 0.287, 0.472], [0.185, 0.713, 0.898], [0.319, 0.010, 0.692], [0.319, 0.627, 0.308], [0.443, 0.234, 0.208], [0.557, 0.766, 0.792], [0.681, 0.373, 0.692], [0.681, 0.990, 0.308], [0.815, 0.287, 0.102], [0.815, 0.713, 0.528], [0.974, 0.766, 0.208], [0.000, 0.000, 0.000], [0.500, 0.500, 0.000], [0.112, 0.612, 0.500], [0.367, 0.000, 0.367], [0.633, 0.000, 0.633], [0.888, 0.388, 0.500]], "total_energy_ev_per_atom": -5.22, "sg": "No. 71", "formation_energy_ev_per_fu": -2.36}



Record 10
{"formula": "DyIn5Co", "functional": "PBE", "state": "optimized geometry", "lattice_angstrom": [[4.567, 0.000, 0.000], [0.000, 4.567, 0.000], [0.000, 0.000, 7.474]], "species": ["Dy", "In", "In", "In", "In", "In", "Co"], "frac_coords": [[0.000, 0.000, 0.000], [0.000, 0.500, 0.305], [0.000, 0.500, 0.695], [0.500, 0.000, 0.305], [0.500, 0.000, 0.695], [0.500, 0.500, 0.000], [0.000, 0.000, 0.500]], "total_energy_ev_per_atom": -3.87, "sg": "No. 123", "formation_energy_ev_per_fu": -1.62}



Record 11
{"formula": "DyInCo2", "functional": "PBE", "state": "optimized geometry", "lattice_angstrom": [[5.010, 0.000, 0.000], [0.000, 4.016, 0.000], [0.000, 0.000, 7.135]], "species": ["Dy", "Dy", "In", "In", "Co", "Co", "Co", "Co"], "frac_coords": [[0.250, 0.000, 0.220], [0.750, 0.000, 0.780], [0.250, 0.500, 0.852], [0.750, 0.500, 0.148], [0.000, 0.500, 0.500], [0.250, 0.000, 0.591], [0.500, 0.500, 0.500], [0.750, 0.000, 0.409]], "total_energy_ev_per_atom": -5.65, "sg": "No. 51", "formation_energy_ev_per_fu": -1.01, "magnetic_moment_mub_per_atom": 0.581}



Record 12
{"formula": "Dy3In4Co2", "functional": "PBE", "state": "optimized geometry", "lattice_angstrom": [[8.182, 0.000, 0.000], [-4.091, 7.086, 0.000], [0.000, 0.000, 3.499]], "species": ["Dy", "Dy", "Dy", "In", "In", "In", "In", "Co", "Co"], "frac_coords": [[0.084, 0.406, 0.000], [0.322, 0.916, 0.000], [0.594, 0.678, 0.000], [0.000, 0.000, 0.000], [0.388, 0.298, 0.500], [0.702, 0.090, 0.500], [0.910, 0.612, 0.500], [0.333, 0.667, 0.500], [0.667, 0.333, 0.000]], "total_energy_ev_per_atom": -4.56, "sg": "No. 174", "formation_energy_ev_per_fu": -1.98, "magnetic_moment_mub_per_atom": 0.020}